La2Ti2O5: relaxed, PBE.

a = 8.8445 Å, b = 8.8445 Å, c = 8.8445 Å
α = 143.59°, β = 143.11°, γ = 52.80°
Element x y z (fractional)
O  0.3208  0.3732  0.9476
O  0.2642  0.2642  0.5000
O  0.0744  0.1268  0.9476
O  0.9256  0.8732  0.0524
O  0.5000  0.5000  0.5000
O  0.6792  0.6268  0.0524
O  0.7358  0.2358  0.0000
O  0.2642  0.7642  0.0000
O  0.7358  0.7358  0.5000
O  0.5000  0.0000  0.0000
La  0.6215  0.1263  0.4952
La  0.8689  0.3737  0.4952
La  0.1311  0.6263  0.5048
La  0.3785  0.8737  0.5048
Ti  0.0000  0.0000  0.0000
Ti  0.2330  0.2500  0.9830
Ti  0.7670  0.7500  0.0170
Ti  0.5000  0.5000  0.0000

Properties
- ρ: 6.15 Mg/m³
- Crystal system: orthorhombic
- Magnetic moment: 0.23 μB/f.u.
- ΔE_f: -2882 kJ/mol of formula units
- Volume: 13.6 A^3/atom